Entry 1:
CeCdAu2: optimized geometry, r²SCAN.

```
data_CeCdAu2
_symmetry_space_group_name_H-M 'F m -3 m'
_symmetry_Int_Tables_number 225
_symmetry_space_group_name_Hall '-F 4 2 3'
_cell_length_a 7.1169
_cell_length_b 7.1169
_cell_length_c 7.1169
_cell_angle_alpha 90.00
_cell_angle_beta 90.00
_cell_angle_gamma 90.00
loop_
_atom_site_label
_atom_site_type_symbol
_atom_site_fract_x
_atom_site_fract_y
_atom_site_fract_z
Ce1 Ce 0.0000 0.0000 0.0000
Cd1 Cd 0.0000 0.0000 0.5000
Au1 Au 0.2500 0.2500 0.2500
```

Magnetic moment (Bohr magnetons per cell): 4.7
Formation enthalpy at 0 K (eV per formula unit): -2.7
VASP energy (eV per atom): -38.70

=====

Entry 2:
Zr2NiP: optimized geometry, r²SCAN.

```
data_Zr2NiP
_symmetry_space_group_name_H-M 'P 1 21/m 1'
_symmetry_Int_Tables_number 11
_cell_length_a 5.2439
_cell_length_b 3.6320
_cell_length_c 7.4666
_cell_angle_alpha 90.00
_cell_angle_beta 110.15
_cell_angle_gamma 90.00
loop_
_symmetry_equiv_pos_as_xyz
'x,y,z'
'-x,-y,-z'
'-x,y+1/2,-z'
'x,-y+1/2,z'
loop_
_atom_site_label
_atom_site_type_symbol
_atom_site_fract_x
_atom_site_fract_y
_atom_site_fract_z
Zr1 Zr 0.2152 0.2500 0.4243
Zr2 Zr 0.2799 0.7500 0.0692
Ni1 Ni 0.1486 0.2500 0.7915
P1 P 0.3564 0.7500 0.7111
```

Magnetic moment (Bohr magnetons per cell): 0.0
Formation enthalpy at 0 K (eV per formula unit): -4.3
VASP energy (eV per atom): -17.70